Here is a relaxed Bi24Ru3Br20 crystal from the Materials Project database. Energies are from GGA-PBE.

As for the crystal system: orthorhombic. The value obtained for the energy is -3.70 eV per atom. The formation energy comes out at -0.651 eV per atom.

Cell lengths 33.168, 14.184, 14.182 Å; angles 90.00, 90.00, 90.00 degrees
Space group Pna2_1 (No. 33)
One atom of each set of equivalent atoms:
Bi (0.000, 0.210, 0.000) x4
Bi (0.041, 0.806, 0.879) x4
Bi (0.041, 0.910, 0.098) x4
Bi (0.042, 0.587, 0.984) x4
Bi (0.042, 0.692, 0.202) x4
Bi (0.057, 0.102, 0.474) x4
Bi (0.057, 0.184, 0.688) x4
Bi (0.057, 0.318, 0.393) x4
Bi (0.057, 0.397, 0.608) x4
Bi (0.140, 0.105, 0.590) x4
Bi (0.140, 0.200, 0.392) x4
Bi (0.140, 0.303, 0.685) x4
Bi (0.140, 0.398, 0.487) x4
Bi (0.142, 0.610, 0.105) x4
Bi (0.142, 0.685, 0.900) x4
Bi (0.142, 0.815, 0.180) x4
Bi (0.142, 0.890, 0.974) x4
Bi (0.169, 0.250, 0.041) x4
Bi (0.169, 0.750, 0.540) x4
Bi (0.212, 0.750, 0.040) x4
Bi (0.249, 0.846, 0.700) x4
Bi (0.250, 0.091, 0.136) x4
Bi (0.250, 0.154, 0.881) x4
Bi (0.250, 0.410, 0.944) x4
Ru (0.005, 0.250, 0.540) x4
Ru (0.083, 0.750, 0.040) x4
Ru (0.250, 0.250, 0.040) x4
Br (0.048, 0.020, 0.919) x4
Br (0.048, 0.625, 0.780) x4
Br (0.048, 0.875, 0.310) x4
Br (0.049, 0.490, 0.169) x4
Br (0.050, 0.220, 0.152) x4
Br (0.050, 0.322, 0.879) x4
Br (0.050, 0.638, 0.510) x4
Br (0.050, 0.912, 0.611) x4
Br (0.157, 0.069, 0.153) x4
Br (0.157, 0.639, 0.358) x4
Br (0.158, 0.863, 0.722) x4
Br (0.159, 0.432, 0.928) x4
Br (0.160, 0.132, 0.861) x4
Br (0.160, 0.369, 0.219) x4
Br (0.160, 0.571, 0.659) x4
Br (0.160, 0.929, 0.422) x4
Br (0.242, 0.323, 0.740) x4
Br (0.242, 0.450, 0.467) x4
Br (0.243, 0.050, 0.613) x4
Br (0.243, 0.177, 0.340) x4

Here is a relaxed BiSeBr crystal from the Materials Project database. Energies are from GGA-PBE.

As for the crystal system: orthorhombic. The value obtained for the energy is -3.56 eV per atom. The formation energy comes out at -0.726 eV per atom.

Cell lengths 8.563, 4.167, 11.017 Å; angles 90.00, 90.00, 90.00 degrees
Space group Pnma (No. 62)
One atom of each set of equivalent atoms:
Bi (0.116, 0.250, 0.133) x4
Se (0.182, 0.750, 0.960) x4
Br (0.025, 0.250, 0.696) x4

Here is a relaxed Bi3Se4Br crystal from the Materials Project database. Energies are from GGA-PBE.

As for the crystal system: monoclinic. The value obtained for the energy is -3.83 eV per atom. The formation energy comes out at -0.490 eV per atom.

Cell lengths 21.147, 4.125, 12.203 Å; angles 90.00, 113.96, 90.00 degrees
Space group C2/m (No. 12)
One atom of each set of equivalent atoms:
Bi (0.089, 0.000, 0.463) x4
Bi (0.152, 0.000, 0.915) x4
Bi (0.173, 0.500, 0.237) x4
Se (0.077, 0.000, 0.227) x4
Se (0.086, 0.500, 0.992) x4
Se (0.187, 0.500, 0.518) x4
Se (0.246, 0.500, 0.857) x4
Br (0.043, 0.500, 0.665) x4

Here is a relaxed BiW3Br9 crystal from the Materials Project database. Energies are from GGA-PBE.

As for the crystal system: monoclinic. The value obtained for the energy is -4.99 eV per atom. The formation energy comes out at -0.939 eV per atom.

Cell lengths 10.020, 13.386, 13.021 Å; angles 90.00, 102.23, 90.00 degrees
Space group P2_1/c (No. 14)
One atom of each set of equivalent atoms:
Bi (0.011, 0.142, 0.099) x4
W (0.359, 0.064, 0.549) x4
W (0.406, 0.622, 0.996) x4
W (0.410, 0.027, 0.361) x4
Br (0.024, 0.689, 0.209) x4
Br (0.077, 0.049, 0.883) x4
Br (0.159, 0.148, 0.620) x4
Br (0.178, 0.533, 0.905) x4
Br (0.282, 0.700, 0.496) x4
Br (0.292, 0.068, 0.161) x4
Br (0.357, 0.584, 0.184) x4
Br (0.363, 0.212, 0.415) x4
Br (0.457, 0.658, 0.807) x4